# Nd4Ge7 | the Materials Project | meta-GGA r2SCAN | optimized geometry
data_Nd4Ge7
_symmetry_space_group_name_H-M 'C 2 2 21'
_symmetry_Int_Tables_number 20
_symmetry_space_group_name_Hall 'C 2c 2'
_cell_length_a 6.0314
_cell_length_b 13.9591
_cell_length_c 12.0637
_cell_angle_alpha 90.00
_cell_angle_beta 90.00
_cell_angle_gamma 90.00
loop_
_atom_site_label
_atom_site_fract_x
_atom_site_fract_y
_atom_site_fract_z
Nd1 0.0000 0.0032 0.2500
Nd2 0.0129 0.5000 0.0000
Nd3 0.2348 0.2551 0.6191
Ge1 0.0000 0.4351 0.7500
Ge2 0.0178 0.0879 0.9901
Ge3 0.1730 0.3499 0.3375
Ge4 0.2482 0.3285 0.8715
# ΔH_f (0 K)   -8.72 eV/f.u.
# Magnetic moment   0.000 μB/cell
# E   -20.318 eV per atom
# V   254 Å³/f.u.

***

# Nd3Ge5 | the Materials Project | meta-GGA r2SCAN | optimized geometry
data_Nd3Ge5
_symmetry_space_group_name_H-M 'C 1 2 1'
_symmetry_Int_Tables_number 5
_symmetry_space_group_name_Hall 'C 2y'
_cell_length_a 5.9474
_cell_length_b 14.1329
_cell_length_c 9.3923
_cell_angle_alpha 90.00
_cell_angle_beta 108.36
_cell_angle_gamma 90.00
loop_
_atom_site_label
_atom_site_fract_x
_atom_site_fract_y
_atom_site_fract_z
Nd1 0.0000 0.0000 0.0000
Nd2 0.0000 0.2501 0.5000
Nd3 0.1665 0.5060 0.3362
Nd4 0.1699 0.7560 0.8368
Ge1 0.0000 0.4410 0.0000
Ge2 0.0000 0.6915 0.5000
Ge3 0.1429 0.9104 0.3546
Ge4 0.1486 0.3366 0.8255
Ge5 0.1776 0.0867 0.3255
Ge6 0.2101 0.1604 0.8539
# ΔH_f (0 K)   -6.58 eV/f.u.
# Magnetic moment   0.000 μB/cell
# E   -20.524 eV per atom
# V   187 Å³/f.u.

***

# NdNiGe3 | the Materials Project | meta-GGA r2SCAN | optimized geometry
data_NdNiGe3
_symmetry_space_group_name_H-M 'C m m m'
_symmetry_Int_Tables_number 65
_symmetry_space_group_name_Hall '-C 2 2'
_cell_length_a 4.1241
_cell_length_b 21.7102
_cell_length_c 4.1706
_cell_angle_alpha 90.00
_cell_angle_beta 90.00
_cell_angle_gamma 90.00
loop_
_atom_site_label
_atom_site_fract_x
_atom_site_fract_y
_atom_site_fract_z
Nd1 0.0000 0.1683 0.0000
Ni1 0.0000 0.3918 0.5000
Ge1 0.0000 0.0567 0.5000
Ge2 0.0000 0.2843 0.5000
Ge3 0.0000 0.4433 0.0000
# ΔH_f (0 K)   -3.15 eV/f.u.
# Magnetic moment   0.000 μB/cell
# E   -17.233 eV per atom
# V   93 Å³/f.u.

***

# Nd3NiGe2 | the Materials Project | meta-GGA r2SCAN | optimized geometry
data_Nd3NiGe2
_symmetry_space_group_name_H-M 'P n m a'
_symmetry_Int_Tables_number 62
_symmetry_space_group_name_Hall '-P 2ac 2n'
_cell_length_a 11.7975
_cell_length_b 4.2693
_cell_length_c 11.7578
_cell_angle_alpha 90.00
_cell_angle_beta 90.00
_cell_angle_gamma 90.00
loop_
_atom_site_label
_atom_site_fract_x
_atom_site_fract_y
_atom_site_fract_z
Nd1 0.0605 0.2500 0.1279
Nd2 0.1173 0.7500 0.5564
Nd3 0.2168 0.2500 0.8043
Ni1 0.1285 0.2500 0.3668
Ge1 0.0243 0.7500 0.3126
Ge2 0.1971 0.7500 0.9933
# ΔH_f (0 K)   -4.88 eV/f.u.
# Magnetic moment   4.127 μB/cell
# E   -22.143 eV per atom
# V   148 Å³/f.u.

***

# NdNiGe | the Materials Project | meta-GGA r2SCAN | optimized geometry
data_NdNiGe
_symmetry_space_group_name_H-M 'P n m a'
_symmetry_Int_Tables_number 62
_symmetry_space_group_name_Hall '-P 2ac 2n'
_cell_length_a 7.2383
_cell_length_b 4.3248
_cell_length_c 7.2667
_cell_angle_alpha 90.00
_cell_angle_beta 90.00
_cell_angle_gamma 90.00
loop_
_atom_site_label
_atom_site_fract_x
_atom_site_fract_y
_atom_site_fract_z
Nd1 0.0137 0.2500 0.2019
Ni1 0.1850 0.7500 0.4191
Ge1 0.1914 0.2500 0.5900
# ΔH_f (0 K)   -2.18 eV/f.u.
# Magnetic moment   0.000 μB/cell
# E   -19.151 eV per atom
# V   57 Å³/f.u.

***

# NdNiGe2 | the Materials Project | meta-GGA r2SCAN | optimized geometry
data_NdNiGe2
_symmetry_space_group_name_H-M 'C m c m'
_symmetry_Int_Tables_number 63
_symmetry_space_group_name_Hall '-C 2c 2'
_cell_length_a 4.2463
_cell_length_b 16.6664
_cell_length_c 4.1888
_cell_angle_alpha 90.00
_cell_angle_beta 90.00
_cell_angle_gamma 90.00
loop_
_atom_site_label
_atom_site_fract_x
_atom_site_fract_y
_atom_site_fract_z
Nd1 0.0000 0.1083 0.2500
Ni1 0.0000 0.3176 0.2500
Ge1 0.0000 0.2503 0.7500
Ge2 0.0000 0.4569 0.2500
# ΔH_f (0 K)   -3.17 eV/f.u.
# Magnetic moment   0.000 μB/cell
# E   -18.078 eV per atom
# V   74 Å³/f.u.

***

# Nd2GeO5 | the Materials Project | meta-GGA r2SCAN | optimized geometry
data_Nd2GeO5
_symmetry_space_group_name_H-M 'P 1 21/c 1'
_symmetry_Int_Tables_number 14
_symmetry_space_group_name_Hall '-P 2ybc'
_cell_length_a 9.4927
_cell_length_b 7.2645
_cell_length_c 7.0087
_cell_angle_alpha 90.00
_cell_angle_beta 106.30
_cell_angle_gamma 90.00
loop_
_atom_site_label
_atom_site_fract_x
_atom_site_fract_y
_atom_site_fract_z
Nd1 0.0252 0.1270 0.2329
Nd2 0.3749 0.1368 0.0638
Ge1 0.3004 0.5893 0.0308
O1 0.1102 0.6330 0.9926
O2 0.1136 0.1173 0.9423
O3 0.2884 0.0818 0.3428
O4 0.3867 0.0517 0.7329
O5 0.3927 0.7116 0.5107
# ΔH_f (0 K)   -24.82 eV/f.u.
# Magnetic moment   0.000 μB/cell
# E   -15.924 eV per atom
# V   116 Å³/f.u.

***

# NdGe2Pd | the Materials Project | meta-GGA r2SCAN | optimized geometry
data_NdGe2Pd
_symmetry_space_group_name_H-M 'C m c m'
_symmetry_Int_Tables_number 63
_symmetry_space_group_name_Hall '-C 2c 2'
_cell_length_a 4.3078
_cell_length_b 17.2987
_cell_length_c 4.3897
_cell_angle_alpha 90.00
_cell_angle_beta 90.00
_cell_angle_gamma 90.00
loop_
_atom_site_label
_atom_site_fract_x
_atom_site_fract_y
_atom_site_fract_z
Nd1 0.0000 0.1071 0.2500
Ge1 0.0000 0.2517 0.7500
Ge2 0.0000 0.4644 0.2500
Pd1 0.0000 0.3234 0.2500
# ΔH_f (0 K)   -3.35 eV/f.u.
# Magnetic moment   0.000 μB/cell
# E   -20.869 eV per atom
# V   82 Å³/f.u.

***

# Nd2Ge3Pd | the Materials Project | meta-GGA r2SCAN | optimized geometry
data_Nd2Ge3Pd
_symmetry_space_group_name_H-M 'P m m 2'
_symmetry_Int_Tables_number 25
_symmetry_space_group_name_Hall 'P 2 -2'
_cell_length_a 4.1690
_cell_length_b 4.3795
_cell_length_c 7.2738
_cell_angle_alpha 90.00
_cell_angle_beta 90.00
_cell_angle_gamma 90.00
loop_
_atom_site_label
_atom_site_fract_x
_atom_site_fract_y
_atom_site_fract_z
Nd1 0.0000 0.0000 0.0000
Nd2 0.0000 0.5000 0.4937
Ge1 0.5000 0.0000 0.3309
Ge2 0.5000 0.0000 0.6717
Ge3 0.5000 0.5000 0.1600
Pd1 0.5000 0.5000 0.8250
# ΔH_f (0 K)   -5.44 eV/f.u.
# Magnetic moment   0.000 μB/cell
# E   -21.475 eV per atom
# V   133 Å³/f.u.

***

# NdGe2Pt2 | the Materials Project | meta-GGA r2SCAN | optimized geometry
data_NdGe2Pt2
_symmetry_space_group_name_H-M 'P 4/n m m'
_symmetry_Int_Tables_number 129
_cell_length_a 4.3642
_cell_length_b 4.3642
_cell_length_c 9.9727
_cell_angle_alpha 90.00
_cell_angle_beta 90.00
_cell_angle_gamma 90.00
loop_
_symmetry_equiv_pos_as_xyz
'x,y,z'
'-x,-y,-z'
'-y+1/2,x,z'
'y+1/2,-x,-z'
'-x+1/2,-y+1/2,z'
'x+1/2,y+1/2,-z'
'y,-x+1/2,z'
'-y,x+1/2,-z'
'x+1/2,-y,-z'
'-x+1/2,y,z'
'-y,-x,-z'
'y,x,z'
'-x,y+1/2,-z'
'x,-y+1/2,z'
'y+1/2,x+1/2,-z'
'-y+1/2,-x+1/2,z'
loop_
_atom_site_label
_atom_site_fract_x
_atom_site_fract_y
_atom_site_fract_z
Nd1 0.2500 0.2500 0.2457
Ge1 0.2500 0.2500 0.6296
Ge2 0.2500 0.7500 0.0000
Pt1 0.2500 0.2500 0.8767
Pt2 0.2500 0.7500 0.5000
# ΔH_f (0 K)   -5.06 eV/f.u.
# Magnetic moment   0.000 μB/cell
# E   -33.039 eV per atom
# V   95 Å³/f.u.

***

# Nd2Ge3Pt | the Materials Project | meta-GGA r2SCAN | optimized geometry
data_Nd2Ge3Pt
_symmetry_space_group_name_H-M 'P m m 2'
_symmetry_Int_Tables_number 25
_symmetry_space_group_name_Hall 'P 2 -2'
_cell_length_a 4.1899
_cell_length_b 4.3916
_cell_length_c 7.2428
_cell_angle_alpha 90.00
_cell_angle_beta 90.00
_cell_angle_gamma 90.00
loop_
_atom_site_label
_atom_site_fract_x
_atom_site_fract_y
_atom_site_fract_z
Nd1 0.0000 0.0000 0.0000
Nd2 0.0000 0.5000 0.4969
Ge1 0.5000 0.0000 0.6608
Ge2 0.5000 0.5000 0.1721
Ge3 0.5000 0.5000 0.8290
Pt1 0.5000 0.0000 0.3251
# ΔH_f (0 K)   -5.91 eV/f.u.
# Magnetic moment   0.000 μB/cell
# E   -26.308 eV per atom
# V   133 Å³/f.u.

***

# NdGePt | the Materials Project | meta-GGA r2SCAN | optimized geometry
data_NdGePt
_symmetry_space_group_name_H-M 'C 1 2/m 1'
_symmetry_Int_Tables_number 12
_symmetry_space_group_name_Hall '-C 2y'
_cell_length_a 10.6640
_cell_length_b 4.3780
_cell_length_c 7.3222
_cell_angle_alpha 90.00
_cell_angle_beta 132.44
_cell_angle_gamma 90.00
loop_
_atom_site_label
_atom_site_fract_x
_atom_site_fract_y
_atom_site_fract_z
Nd1 0.0495 0.0000 0.3130
Ge1 0.1611 0.5000 0.0908
Pt1 0.1795 0.5000 0.7212
# ΔH_f (0 K)   -3.35 eV/f.u.
# Magnetic moment   0.000 μB/cell
# E   -32.709 eV per atom
# V   63 Å³/f.u.